Computed, not measured: an optimized crystal structure of Eu2HfZrO6 at the PBE-GGA level of DFT.

Properties
SG ... No. 225
Formation energy from the elements ... -3.640 eV per atom
Crystal system ... cubic

a b c (Å): 5.885 5.885 5.885
angles (deg): 60.00 60.00 60.00
Positions (direct):
O 0.248 0.248 0.752
O 0.248 0.752 0.752
O 0.752 0.752 0.248
O 0.752 0.248 0.248
O 0.752 0.248 0.752
O 0.248 0.752 0.248
Zr 0.500 0.500 0.500
Eu 0.250 0.250 0.250
Eu 0.750 0.750 0.750
Hf 0.000 0.000 0.000